Entry 1:
An optimized crystal structure of BaMg2Ge2, computed with PBE.

abc: 4.7005 4.7005 11.4728
angles: 90.00 90.00 90.00
With the nearest neighbours (Å) after each atom.
Space group I4/mmm (No. 139)
Unique sites:
Ba 0.0000 0.0000 0.0000 x2  8 Ge 3.58, 8 Mg 3.71
Mg 0.0000 0.5000 0.2500 x4  4 Ge 2.81
Ge 0.0000 0.0000 0.3838 x4  1 Ge 2.67, 4 Mg 2.81

total DFT energy (no corrections): -3.344 eV/atom
energy of formation from the pure elements: -0.471 eV per atom


Entry 2:
An optimized crystal structure of BaMgGe, computed with PBE.

abc: 4.6975 4.6975 7.9560
angles: 90.00 90.00 90.00
With the nearest neighbours (Å) after each atom.
Space group P4/nmm (No. 129, origin choice 2)
Unique sites:
Ba 0.2500 0.2500 0.1633 x2  5 Ge 3.48-3.63, 4 Mg 3.56
Mg 0.2500 0.7500 0.5000 x2  4 Ge 2.87
Ge 0.2500 0.2500 0.7071 x2  4 Mg 2.87

total DFT energy (no corrections): -3.248 eV/atom
energy of formation from the pure elements: -0.534 eV per atom


Entry 3:
An optimized crystal structure of Ba3MgGeN4, computed with PBE.

abc: 6.2972 10.7024 10.2544
angles: 90.00 90.00 90.00
With the nearest neighbours (Å) after each atom.
Space group Pnna (No. 52)
Unique sites:
Ba 0.1145 0.1556 0.0897 x8  4 N 2.76-2.82
Ba 0.2500 0.0000 0.4089 x4  4 N 2.82-2.84
Mg 0.1619 0.2500 0.7500 x4  4 N 2.15
Ge 0.2500 0.0000 0.7327 x4  4 N 1.92-1.96
N 0.0272 0.0836 0.8329 x8  1 Ge 1.96, 1 Mg 2.15
N 0.1318 0.6353 0.8667 x8  1 Ge 1.92, 1 Mg 2.15

total DFT energy (no corrections): -5.593 eV/atom
energy of formation from the pure elements: -0.717 eV per atom
energy with MP2020 corrections: -51.8 eV/f.u.


Entry 4:
An optimized crystal structure of Ba4MgGe4O12, computed with PBE.

abc: 4.7839 6.0749 13.2993
angles: 86.02 88.69 88.42
With the nearest neighbours (Å) after each atom.
Space group P1 (No. 1)
Unique sites:
Ba 0.0000 0.0000 0.0000 x1  1 O 2.53
Ba 0.0304 0.6272 0.4880 x1  4 O 2.56-2.85
Ba 0.4670 0.0815 0.3005 x1  4 O 2.67-2.88
Ba 0.5348 0.4624 0.8459 x1  4 O 2.65-2.85
Mg 0.0498 0.2777 0.6975 x1  4 O 1.95-2.01
Ge 0.4226 0.5110 0.0926 x1  4 O 1.75-1.83
Ge 0.4962 0.0160 0.5985 x1  4 O 1.76-1.81
Ge 0.9124 0.5704 0.2433 x1  4 O 1.75-1.84
Ge 0.9700 0.8073 0.7451 x1  3 O 1.82-1.96
O 0.0454 0.5394 0.1168 x1  2 Ge 1.81-1.83
O 0.0495 0.2635 0.8451 x1  1 Mg 1.96
O 0.3485 0.8606 0.7072 x1  2 Ge 1.81-1.90
O 0.3554 0.2871 0.5926 x1  1 Ge 1.76
O 0.4900 0.8806 0.4852 x1  1 Ge 1.77
O 0.4923 0.2387 0.0611 x1  1 Ge 1.76
O 0.4943 0.7232 0.0009 x1  1 Ge 1.75
O 0.5371 0.5544 0.2194 x1  2 Ge 1.82-1.84
O 0.8539 0.0296 0.6390 x1  2 Ge 1.81-1.96, 1 Mg 2.01
O 0.8849 0.5725 0.6741 x1  1 Ge 1.82, 1 Mg 1.95
O 0.9673 0.8329 0.2854 x1  1 Ge 1.75
O 0.9789 0.3491 0.3318 x1  1 Ge 1.75

total DFT energy (no corrections): -6.341 eV/atom
energy of formation from the pure elements: -2.584 eV per atom
energy with MP2020 corrections: -141.4 eV/f.u.